Record 1
Entry from Materials Project: a geometry-optimized Fe6Ge2N structure (PBE).

abc: 3.765 3.765 7.131
angles: 90.00 90.00 90.00
Fractional coordinates of all 9 atoms:
Fe (0.500, 0.000, 0.500)
N (0.000, 0.000, 0.000)
Fe (0.500, 0.000, 0.000)
Fe (0.000, 0.500, 0.500)
Ge (0.500, 0.500, 0.744)
Fe (0.000, 0.500, 0.000)
Ge (0.500, 0.500, 0.256)
Fe (0.000, 0.000, 0.733)
Fe (0.000, 0.000, 0.267)

Properties
Spin magnetization in μB per atom: 0.958
E (MP2020) in eV per atom: -7.69
Energy of formation in eV/atom: -0.091



Record 2
Entry from Materials Project: a geometry-optimized ScSn3 structure (PBE).

abc: 6.356 6.356 5.746
angles: 90.00 90.00 120.00
Fractional coordinates of all 8 atoms:
Sc (0.667, 0.333, 0.250)
Sn (0.168, 0.832, 0.250)
Sn (0.832, 0.664, 0.750)
Sn (0.336, 0.168, 0.750)
Sn (0.832, 0.168, 0.750)
Sn (0.168, 0.336, 0.250)
Sc (0.333, 0.667, 0.750)
Sn (0.664, 0.832, 0.250)

Properties
Spin magnetization in μB per atom: 0.000
Energy of formation in eV/atom: -0.248



Record 3
Entry from Materials Project: a geometry-optimized Sc2BeB2Ir5 structure (PBE).

abc: 9.321 9.321 2.974
angles: 90.00 90.00 90.00
Fractional coordinates of all 20 atoms:
B (0.628, 0.872, 0.000)
B (0.372, 0.128, 0.000)
Be (0.000, 0.000, 0.000)
Ir (0.500, 0.000, 0.500)
Ir (0.000, 0.500, 0.500)
Ir (0.708, 0.432, 0.500)
B (0.128, 0.628, 0.000)
Ir (0.068, 0.792, 0.500)
Ir (0.568, 0.708, 0.500)
Sc (0.324, 0.824, 0.000)
Ir (0.932, 0.208, 0.500)
Ir (0.432, 0.292, 0.500)
Be (0.500, 0.500, 0.000)
Ir (0.208, 0.068, 0.500)
Ir (0.792, 0.932, 0.500)
Sc (0.824, 0.676, 0.000)
Ir (0.292, 0.568, 0.500)
Sc (0.176, 0.324, 0.000)
Sc (0.676, 0.176, 0.000)
B (0.872, 0.372, 0.000)

Properties
Spin magnetization in μB per atom: 0.000
Energy of formation in eV/atom: -0.822